(1)
Entry from the Materials Project: a geometry-optimized AgMo3Se3 structure (PBE-GGA).

Lattice parameters (Å, degrees): 4.5313 8.4215 8.4241 120.01 90.00 90.00
Atoms (fractional coordinates):
Ag: 0.7500 0.3334 0.6667
Ag: 0.2500 0.6666 0.3333
Mo: 0.7500 0.0514 0.8473
Mo: 0.7500 0.1528 0.2042
Mo: 0.7500 0.7958 0.9485
Mo: 0.2500 0.9486 0.1527
Mo: 0.2500 0.8472 0.7958
Mo: 0.2500 0.2042 0.0515
Se: 0.7500 0.6966 0.6013
Se: 0.7500 0.3988 0.0954
Se: 0.7500 0.9046 0.3033
Se: 0.2500 0.3034 0.3987
Se: 0.2500 0.6012 0.9046
Se: 0.2500 0.0954 0.6967

Calculated values
SG: P6_3/m (176)
Energy of formation: -519 meV per atom
Corrected total energy (MP2020 scheme): -7.0698 eV/atom



(2)
Entry from the Materials Project: a geometry-optimized AgTe6Mo6 structure (PBE-GGA).

Lattice parameters (Å, degrees): 9.5473 9.5473 9.6998 59.64 59.64 27.97
Atoms (fractional coordinates):
Ag: 0.0000 0.0000 0.0000
Te: 0.1218 0.1218 0.3885
Te: 0.5442 0.5442 0.1626
Te: 0.4558 0.4558 0.8374
Te: 0.8221 0.8221 0.2475
Te: 0.1779 0.1779 0.7525
Te: 0.8782 0.8782 0.6115
Mo: 0.7142 0.7142 0.8880
Mo: 0.2858 0.2858 0.1120
Mo: 0.8460 0.8460 0.9302
Mo: 0.1540 0.1540 0.0698
Mo: 0.6890 0.6890 0.1851
Mo: 0.3110 0.3110 0.8149

Calculated values
SG: C2/m (12)
Energy of formation: -226 meV per atom



(3)
Entry from the Materials Project: a geometry-optimized Ag7NO8 structure (PBE-GGA).

Lattice parameters (Å, degrees): 7.0853 7.0853 7.0853 60.00 60.00 60.00
Atoms (fractional coordinates):
Ag: 0.0000 0.0000 0.0000
Ag: 0.7184 0.2816 0.2816
Ag: 0.7184 0.7184 0.2816
Ag: 0.2816 0.7184 0.2816
Ag: 0.2816 0.2816 0.7184
Ag: 0.7184 0.2816 0.7184
Ag: 0.2816 0.7184 0.7184
N: 0.5000 0.5000 0.5000
O: 0.1310 0.1310 0.6069
O: 0.1310 0.6069 0.1310
O: 0.6069 0.1310 0.1310
O: 0.1310 0.1310 0.1310
O: 0.8690 0.8690 0.3931
O: 0.8690 0.3931 0.8690
O: 0.3931 0.8690 0.8690
O: 0.8690 0.8690 0.8690

Calculated values
SG: Fm-3m (225)
Energy of formation: 453 meV per atom
Corrected total energy (MP2020 scheme): -3.7809 eV/atom